# 1
# Ba3P2S8 | the Materials Project | PBE | relaxed
# SG = No. 14
# Total DFT energy (no corrections) = -5.080 eV per atom
# Formation enthalpy at 0 K = -1.568 eV/atom
data_Ba3P2S8
_cell_length_a 6.694
_cell_length_b 11.844
_cell_length_c 17.572
_cell_angle_alpha 89.97
_cell_angle_beta 90.00
_cell_angle_gamma 90.00
_space_group_name_H-M_alt 'P 1'
_space_group_IT_number 1
loop_
_space_group_symop_operation_xyz
'x,y,z'
loop_
_atom_site_label
_atom_site_fract_x
_atom_site_fract_y
_atom_site_fract_z
Ba1 0.488 0.830 0.428
Ba2 0.012 0.330 0.428
Ba3 0.041 0.023 0.749
Ba4 0.496 0.840 0.928
Ba5 0.996 0.660 0.072
Ba6 0.541 0.477 0.251
Ba7 0.004 0.340 0.928
Ba8 0.504 0.160 0.072
Ba9 0.988 0.670 0.572
Ba10 0.512 0.170 0.572
Ba11 0.459 0.523 0.749
Ba12 0.959 0.977 0.251
P1 0.471 0.839 0.140
P2 0.484 0.829 0.640
P3 0.984 0.671 0.360
P4 0.016 0.329 0.640
P5 0.516 0.171 0.360
P6 0.529 0.161 0.860
P7 0.971 0.661 0.860
P8 0.029 0.339 0.140
S1 0.736 0.078 0.412
S2 0.009 0.174 0.586
S3 0.272 0.095 0.907
S4 0.266 0.406 0.082
S5 0.264 0.922 0.588
S6 0.236 0.422 0.588
S7 0.728 0.905 0.093
S8 0.764 0.578 0.412
S9 0.734 0.594 0.918
S10 0.095 0.303 0.751
S11 0.905 0.697 0.249
S12 0.491 0.674 0.586
S13 0.026 0.169 0.117
S14 0.474 0.669 0.117
S15 0.509 0.326 0.414
S16 0.991 0.826 0.414
S17 0.749 0.406 0.616
S18 0.228 0.595 0.907
S19 0.595 0.197 0.249
S20 0.249 0.094 0.384
S21 0.974 0.831 0.883
S22 0.526 0.331 0.883
S23 0.947 0.610 0.749
S24 0.751 0.906 0.616
S25 0.251 0.594 0.384
S26 0.053 0.390 0.251
S27 0.447 0.890 0.251
S28 0.772 0.405 0.093
S29 0.553 0.110 0.749
S30 0.766 0.094 0.918
S31 0.405 0.803 0.751
S32 0.234 0.906 0.082

# 2
# ZrAl2 | the Materials Project | PBE | relaxed
# SG = No. 194
# Total DFT energy (no corrections) = -5.884 eV per atom
# Formation enthalpy at 0 K = -0.538 eV/atom
data_ZrAl2
_cell_length_a 5.293
_cell_length_b 5.293
_cell_length_c 8.792
_cell_angle_alpha 90.00
_cell_angle_beta 90.00
_cell_angle_gamma 120.00
_space_group_name_H-M_alt 'P 1'
_space_group_IT_number 1
loop_
_space_group_symop_operation_xyz
'x,y,z'
loop_
_atom_site_label
_atom_site_fract_x
_atom_site_fract_y
_atom_site_fract_z
Zr1 0.333 0.667 0.564
Zr2 0.667 0.333 0.064
Zr3 0.667 0.333 0.436
Zr4 0.333 0.667 0.936
Al1 0.659 0.829 0.250
Al2 0.829 0.171 0.750
Al3 0.829 0.659 0.750
Al4 0.171 0.341 0.250
Al5 0.000 0.000 0.000
Al6 0.000 0.000 0.500
Al7 0.341 0.171 0.750
Al8 0.171 0.829 0.250

# 3
# Li2B4O7 | the Materials Project | PBE | relaxed
# Magnetization = 0.0 μB per formula unit
# SG = No. 110
# Total DFT energy (no corrections) = -7.139 eV per atom
# Formation enthalpy at 0 K = -2.495 eV/atom
data_Li2B4O7
_cell_length_a 9.501
_cell_length_b 9.501
_cell_length_c 9.501
_cell_angle_alpha 112.40
_cell_angle_beta 112.40
_cell_angle_gamma 103.75
_space_group_name_H-M_alt 'P 1'
_space_group_IT_number 1
loop_
_space_group_symop_operation_xyz
'x,y,z'
loop_
_atom_site_label
_atom_site_fract_x
_atom_site_fract_y
_atom_site_fract_z
Li1 0.526 0.389 0.505
Li2 0.771 0.776 0.637
Li3 0.885 0.021 0.495
Li4 0.139 0.135 0.363
Li5 0.026 0.521 0.137
Li6 0.385 0.889 0.863
Li7 0.271 0.635 0.995
Li8 0.639 0.276 0.005
B1 0.682 0.705 0.270
B2 0.807 0.436 0.513
B3 0.043 0.057 0.870
B4 0.936 0.205 0.023
B5 0.307 0.793 0.370
B6 0.455 0.686 0.523
B7 0.423 0.936 0.630
B8 0.543 0.673 0.987
B9 0.186 0.173 0.130
B10 0.436 0.412 0.730
B11 0.923 0.293 0.487
B12 0.686 0.557 0.013
B13 0.955 0.432 0.770
B14 0.662 0.186 0.230
B15 0.162 0.932 0.477
B16 0.182 0.912 0.977
O1 0.899 0.077 0.850
O2 0.150 0.794 0.323
O3 0.327 0.649 0.350
O4 0.650 0.327 0.356
O5 0.752 0.798 0.442
O6 0.577 0.400 0.856
O7 0.701 0.701 0.000
O8 0.252 0.811 0.955
O9 0.048 0.502 0.942
O10 0.544 0.720 0.144
O11 0.727 0.577 0.178
O12 0.470 0.827 0.677
O13 0.799 0.149 0.322
O14 0.561 0.106 0.058
O15 0.044 0.900 0.823
O16 0.061 0.002 0.455
O17 0.451 0.951 0.500
O18 0.356 0.311 0.558
O19 0.201 0.201 0.000
O20 0.827 0.477 0.678
O21 0.970 0.294 0.644
O22 0.856 0.298 0.045
O23 0.227 0.049 0.150
O24 0.299 0.977 0.650
O25 0.548 0.606 0.545
O26 0.077 0.220 0.177
O27 0.951 0.451 0.500
O28 0.399 0.549 0.822

# 4
# MgH4C4S4O12F12 | the Materials Project | PBE | relaxed
# Magnetization = 0.0 μB per formula unit
# SG = No. 1
# Total DFT energy (no corrections) = -5.365 eV per atom
# Formation enthalpy at 0 K = -1.657 eV/atom
data_MgH4C4S4O12F12
_cell_length_a 5.385
_cell_length_b 9.045
_cell_length_c 11.804
_cell_angle_alpha 86.88
_cell_angle_beta 89.36
_cell_angle_gamma 103.83
_space_group_name_H-M_alt 'P 1'
_space_group_IT_number 1
loop_
_space_group_symop_operation_xyz
'x,y,z'
loop_
_atom_site_label
_atom_site_fract_x
_atom_site_fract_y
_atom_site_fract_z
Mg1 0.914 0.478 0.842
H1 0.511 0.514 0.742
H2 0.955 0.942 0.771
H3 0.502 0.489 0.250
H4 0.990 0.975 0.257
C1 0.511 0.872 0.956
C2 0.879 0.232 0.555
C3 0.568 0.260 0.059
C4 0.081 0.757 0.446
S1 0.600 0.760 0.814
S2 0.047 0.248 0.694
S3 0.439 0.253 0.209
S4 0.931 0.734 0.302
O1 0.675 0.580 0.765
O2 0.110 0.102 0.716
O3 0.366 0.408 0.214
O4 0.846 0.887 0.285
O5 0.895 0.837 0.812
O6 0.262 0.380 0.675
O7 0.205 0.136 0.208
O8 0.698 0.616 0.319
O9 0.467 0.811 0.719
O10 0.852 0.276 0.775
O11 0.644 0.240 0.282
O12 0.127 0.721 0.223
F1 0.264 0.837 0.984
F2 0.793 0.359 0.531
F3 0.725 0.165 0.055
F4 0.183 0.638 0.471
F5 0.217 0.536 0.910
F6 0.682 0.109 0.559
F7 0.710 0.405 0.025
F8 0.267 0.887 0.440
F9 0.630 0.828 0.046
F10 0.048 0.220 0.472
F11 0.379 0.220 0.985
F12 0.904 0.765 0.525

# 5
# Pm2MgTl | the Materials Project | PBE | relaxed
# SG = No. 225
# Total DFT energy (no corrections) = -3.625 eV per atom
# Formation enthalpy at 0 K = -0.259 eV/atom
data_Pm2MgTl
_cell_length_a 5.474
_cell_length_b 5.474
_cell_length_c 5.474
_cell_angle_alpha 60.00
_cell_angle_beta 60.00
_cell_angle_gamma 60.00
_space_group_name_H-M_alt 'P 1'
_space_group_IT_number 1
loop_
_space_group_symop_operation_xyz
'x,y,z'
loop_
_atom_site_label
_atom_site_fract_x
_atom_site_fract_y
_atom_site_fract_z
Pm1 0.250 0.250 0.250
Pm2 0.750 0.750 0.750
Mg1 0.500 0.500 0.500
Tl1 0.000 0.000 0.000

# 6
# Nd2MgSe4 | the Materials Project | PBE | relaxed
# Magnetization = 0.0 μB per formula unit
# SG = No. 62
# Total DFT energy (no corrections) = -5.093 eV per atom
# Formation enthalpy at 0 K = -1.774 eV/atom
data_Nd2MgSe4
_cell_length_a 8.412
_cell_length_b 7.751
_cell_length_c 12.394
_cell_angle_alpha 90.00
_cell_angle_beta 90.00
_cell_angle_gamma 90.00
_space_group_name_H-M_alt 'P 1'
_space_group_IT_number 1
loop_
_space_group_symop_operation_xyz
'x,y,z'
loop_
_atom_site_label
_atom_site_fract_x
_atom_site_fract_y
_atom_site_fract_z
Nd1 0.049 0.750 0.315
Nd2 0.951 0.250 0.685
Nd3 0.451 0.250 0.815
Nd4 0.549 0.750 0.185
Nd5 0.067 0.250 0.032
Nd6 0.933 0.750 0.968
Nd7 0.433 0.750 0.532
Nd8 0.567 0.250 0.468
Mg1 0.184 0.250 0.412
Mg2 0.816 0.750 0.588
Mg3 0.316 0.750 0.912
Mg4 0.684 0.250 0.088
Se1 0.141 0.498 0.844
Se2 0.859 0.502 0.156
Se3 0.359 0.502 0.344
Se4 0.641 0.498 0.656
Se5 0.641 0.002 0.656
Se6 0.359 0.998 0.344
Se7 0.859 0.998 0.156
Se8 0.141 0.002 0.844
Se9 0.897 0.250 0.451
Se10 0.103 0.750 0.549
Se11 0.603 0.750 0.951
Se12 0.397 0.250 0.049
Se13 0.218 0.750 0.111
Se14 0.782 0.250 0.889
Se15 0.282 0.250 0.611
Se16 0.718 0.750 0.389

> What is the formation enthalpy at 0 K in the second record?

-0.538 eV/atom

> The lowest total DFT energy (no corrections) belongs to which entry?

Li2B4O7

> formation enthalpy at 0 K of number 1 (Ba3P2S8)?

-1.568 eV/atom

> Which value of formation enthalpy at 0 K does entry 1 give?

-1.568 eV/atom